Record 1
Compound: Na2UF6
Source: the Materials Project database
Functional: PBE
Structure: relaxed

The structure in POSCAR format:
```
Na2UF6
1.0
3.080 -5.335 0.000
3.080 5.335 0.000
0.000 0.000 7.256
Na U F
4 2 12
direct
0.667 0.333 0.627
0.000 0.000 0.032
0.000 0.000 0.514
0.333 0.667 0.379
0.333 0.667 0.859
0.667 0.333 0.142
0.385 0.304 0.895
0.379 0.283 0.352
0.610 0.701 0.645
0.314 0.917 0.109
0.083 0.398 0.109
0.696 0.082 0.895
0.717 0.096 0.352
0.090 0.390 0.645
0.602 0.686 0.109
0.904 0.621 0.352
0.918 0.615 0.895
0.299 0.910 0.645
```

Computed properties:
V, Å³ per cell: 238.43
DFT formation energy, eV/atom: -3.563

Record 2
Compound: Na2UF6
Source: the Materials Project database
Functional: PBE
Structure: relaxed

The structure in POSCAR format:
```
Na2UF6
1.0
-2.043 2.801 5.680
2.043 -2.801 5.680
2.043 2.801 -5.680
Na U F
2 1 6
direct
0.330 0.330 0.000
0.670 0.670 0.000
0.000 0.000 0.000
0.775 0.500 0.275
0.091 0.847 0.244
0.603 0.847 0.756
0.225 0.500 0.725
0.909 0.153 0.756
0.397 0.153 0.244
```

Computed properties:
V, Å³ per cell: 130.02
DFT formation energy, eV/atom: -3.576

Here are the calculated energy numbers, same order: -6.080 -6.093 (eV per atom).